1.
# Nb8N5

A relaxed structure of Nb8N5 (GGA-PBE, the Materials Project database).

Cell lengths 4.3835, 4.3835, 8.7986 Å; angles 90.00, 90.00, 90.00 degrees
Fractional coordinates of all 13 atoms:
1 Nb 0.0000 0.0000 0.2484
2 Nb 0.0000 0.0000 0.7516
3 Nb 0.0000 0.5000 0.0000
4 Nb 0.0000 0.5000 0.5000
5 Nb 0.5000 0.0000 0.0000
6 Nb 0.5000 0.0000 0.5000
7 Nb 0.5000 0.5000 0.2477
8 Nb 0.5000 0.5000 0.7523
9 N 0.0000 0.0000 0.5000
10 N 0.0000 0.5000 0.2506
11 N 0.0000 0.5000 0.7494
12 N 0.5000 0.0000 0.2506
13 N 0.5000 0.0000 0.7494

Output
The value obtained for the offset from the most stable computed form is 15.6 meV per atom. As for the space-group type: P4/mmm, No. 123. For the total moment, the calculation gives 0.0 μB per cell. As for the total energy: -10.24 eV/atom.

2.
# Nb12N11

A relaxed structure of Nb12N11 (GGA-PBE, the Materials Project database).

Cell lengths 8.3220, 8.3220, 5.4190 Å; angles 90.32, 90.32, 44.22 degrees
Fractional coordinates of all 23 atoms:
1 Nb 0.0000 0.5000 0.5000
2 Nb 0.0781 0.0781 0.3141
3 Nb 0.1558 0.6866 0.1534
4 Nb 0.2498 0.2498 0.0039
5 Nb 0.3134 0.8442 0.8466
6 Nb 0.4157 0.4157 0.6752
7 Nb 0.5000 0.0000 0.5000
8 Nb 0.5843 0.5843 0.3248
9 Nb 0.6866 0.1558 0.1534
10 Nb 0.7502 0.7502 0.9961
11 Nb 0.8442 0.3134 0.8466
12 Nb 0.9219 0.9219 0.6859
13 N 0.0821 0.5833 0.8331
14 N 0.1646 0.1646 0.6600
15 N 0.2511 0.7489 0.5000
16 N 0.3380 0.3380 0.3312
17 N 0.4167 0.9179 0.1669
18 N 0.5000 0.5000 0.0000
19 N 0.5833 0.0821 0.8331
20 N 0.6620 0.6620 0.6688
21 N 0.7489 0.2511 0.5000
22 N 0.8354 0.8354 0.3400
23 N 0.9179 0.4167 0.1669

Output
As for the space-group type: C2/m, No. 12. For the total moment, the calculation gives 0.0 μB per cell. As for the total energy: -10.14 eV/atom.

3.
# Nb5N6

A relaxed structure of Nb5N6 (GGA-PBE, the Materials Project database).

Cell lengths 5.2606, 5.2606, 10.4746 Å; angles 90.00, 90.00, 120.00 degrees
Fractional coordinates of all 22 atoms:
1 Nb 0.0000 0.3250 0.2500
2 Nb 0.0000 0.6750 0.7500
3 Nb 0.3250 0.0000 0.2500
4 Nb 0.3250 0.3250 0.7500
5 Nb 0.3333 0.6667 0.0000
6 Nb 0.3333 0.6667 0.5000
7 Nb 0.6667 0.3333 0.0000
8 Nb 0.6667 0.3333 0.5000
9 Nb 0.6750 0.0000 0.7500
10 Nb 0.6750 0.6750 0.2500
11 N 0.0000 0.3393 0.6225
12 N 0.0000 0.3393 0.8775
13 N 0.0000 0.6607 0.1225
14 N 0.0000 0.6607 0.3775
15 N 0.3393 0.0000 0.6225
16 N 0.3393 0.0000 0.8775
17 N 0.3393 0.3393 0.1225
18 N 0.3393 0.3393 0.3775
19 N 0.6607 0.0000 0.1225
20 N 0.6607 0.0000 0.3775
21 N 0.6607 0.6607 0.6225
22 N 0.6607 0.6607 0.8775

Output
As for the space-group type: P6_3/mcm, No. 193. As for the total energy: -10.15 eV/atom.

4.
# NbN

A relaxed structure of NbN (GGA-PBE, the Materials Project database).

Cell lengths 2.9907, 2.9907, 11.4614 Å; angles 90.00, 90.00, 120.00 degrees
Fractional coordinates of all 8 atoms:
1 Nb 0.3333 0.6667 0.1228
2 Nb 0.3333 0.6667 0.3772
3 Nb 0.6667 0.3333 0.6228
4 Nb 0.6667 0.3333 0.8772
5 N 0.0000 0.0000 0.0000
6 N 0.0000 0.0000 0.5000
7 N 0.3333 0.6667 0.7500
8 N 0.6667 0.3333 0.2500

Output
As for the space-group type: P6_3/mmc, No. 194. For the total moment, the calculation gives 0.0 μB per cell. As for the total energy: -10.08 eV/atom.

5.
# Nb3N5

A relaxed structure of Nb3N5 (GGA-PBE, the Materials Project database).

Cell lengths 5.5642, 5.5642, 10.4014 Å; angles 90.00, 90.00, 138.75 degrees
Fractional coordinates of all 16 atoms:
1 Nb 0.1302 0.8698 0.5592
2 Nb 0.1302 0.8698 0.9408
3 Nb 0.2045 0.7955 0.2500
4 Nb 0.7955 0.2045 0.7500
5 Nb 0.8698 0.1302 0.0592
6 Nb 0.8698 0.1302 0.4408
7 N 0.0475 0.9525 0.1204
8 N 0.0475 0.9525 0.3796
9 N 0.2344 0.7656 0.7500
10 N 0.3099 0.6901 0.0741
11 N 0.3099 0.6901 0.4259
12 N 0.6901 0.3099 0.5741
13 N 0.6901 0.3099 0.9259
14 N 0.7656 0.2344 0.2500
15 N 0.9525 0.0475 0.6204
16 N 0.9525 0.0475 0.8796

Output
As for the space-group type: Cmcm, No. 63. As for the total energy: -9.75 eV/atom.

6.
# Nb3N

A relaxed structure of Nb3N (GGA-PBE, the Materials Project database).

Cell lengths 5.3004, 5.4402, 9.8655 Å; angles 90.00, 117.96, 90.00 degrees
Fractional coordinates of all 16 atoms:
1 Nb 0.0000 0.0576 0.0000
2 Nb 0.0000 0.9424 0.5000
3 Nb 0.0914 0.4422 0.5319
4 Nb 0.0914 0.5578 0.0319
5 Nb 0.1847 0.1758 0.2987
6 Nb 0.1847 0.8242 0.7987
7 Nb 0.4472 0.3412 0.8866
8 Nb 0.4472 0.6588 0.3866
9 Nb 0.6097 0.1936 0.2163
10 Nb 0.6097 0.8064 0.7163
11 Nb 0.7351 0.3112 0.6869
12 Nb 0.7351 0.6888 0.1869
13 N 0.3527 0.1322 0.6853
14 N 0.3527 0.8678 0.1853
15 N 0.8288 0.3399 0.0985
16 N 0.8288 0.6601 0.5985

Output
As for the space-group type: Pc, No. 7. For the total moment, the calculation gives 0.0 μB per cell. As for the total energy: -9.92 eV/atom.

7.
# Nb8N5

A relaxed structure of Nb8N5 (GGA-PBE, the Materials Project database).

Cell lengths 5.3713, 5.3713, 6.2381 Å; angles 90.00, 90.00, 110.27 degrees
Fractional coordinates of all 13 atoms:
1 Nb 0.2471 0.7529 0.0000
2 Nb 0.2517 0.7483 0.5000
3 Nb 0.2549 0.2549 0.2507
4 Nb 0.2549 0.2549 0.7493
5 Nb 0.7451 0.7451 0.2507
6 Nb 0.7451 0.7451 0.7493
7 Nb 0.7483 0.2517 0.5000
8 Nb 0.7529 0.2471 0.0000
9 N 0.0000 0.0000 0.5000
10 N 0.0000 0.5000 0.2484
11 N 0.0000 0.5000 0.7516
12 N 0.5000 0.0000 0.2484
13 N 0.5000 0.0000 0.7516

Output
The value obtained for the offset from the most stable computed form is 0.0 meV per atom. As for the space-group type: Cmmm, No. 65. For the total moment, the calculation gives 0.0 μB per cell. As for the total energy: -10.25 eV/atom.

8.
# NbN

A relaxed structure of NbN (GGA-PBE, the Materials Project database).

Cell lengths 3.3888, 3.3888, 3.3888 Å; angles 60.00, 60.00, 60.00 degrees
Fractional coordinates of all 2 atoms:
1 Nb 0.0000 0.0000 0.0000
2 N 0.7500 0.7500 0.7500

Output
As for the space-group type: F-43m, No. 216. For the total moment, the calculation gives 0.0 μB per cell. As for the total energy: -9.87 eV/atom.

9.
# NbN

A relaxed structure of NbN (GGA-PBE, the Materials Project database).

Cell lengths 3.1484, 3.1484, 3.1484 Å; angles 60.00, 60.00, 60.00 degrees
Fractional coordinates of all 2 atoms:
1 Nb 0.0000 0.0000 0.0000
2 N 0.5000 0.5000 0.5000

Output
As for the space-group type: Fm-3m, No. 225. For the total moment, the calculation gives 0.0 μB per cell. As for the total energy: -10.08 eV/atom.

10.
# NbN

A relaxed structure of NbN (GGA-PBE, the Materials Project database).

Cell lengths 2.9517, 2.9517, 5.8982 Å; angles 90.00, 90.00, 120.00 degrees
Fractional coordinates of all 4 atoms:
1 Nb 0.0000 0.0000 0.0000
2 Nb 0.0000 0.0000 0.5000
3 N 0.3333 0.6667 0.2500
4 N 0.6667 0.3333 0.7500

Output
As for the space-group type: P6_3/mmc, No. 194. For the total moment, the calculation gives 0.0 μB per cell. As for the total energy: -10.13 eV/atom.

11.
# NbN

A relaxed structure of NbN (GGA-PBE, the Materials Project database).

Cell lengths 2.7593, 2.7593, 2.7593 Å; angles 90.00, 90.00, 90.00 degrees
Fractional coordinates of all 2 atoms:
1 Nb 0.0000 0.0000 0.0000
2 N 0.5000 0.5000 0.5000

Output
As for the space-group type: Pm-3m, No. 221. For the total moment, the calculation gives 0.0 μB per cell. As for the total energy: -9.65 eV/atom.

12.
# NbN

A relaxed structure of NbN (GGA-PBE, the Materials Project database).

Cell lengths 3.2006, 3.2006, 6.0657 Å; angles 90.00, 90.00, 120.00 degrees
Fractional coordinates of all 4 atoms:
1 Nb 0.3333 0.6667 0.0000
2 Nb 0.6667 0.3333 0.5000
3 N 0.3333 0.6667 0.6712
4 N 0.6667 0.3333 0.1712

Output
As for the space-group type: P6_3mc, No. 186. For the total moment, the calculation gives 0.0 μB per cell. As for the total energy: -9.90 eV/atom.

13.
# Nb5N2O2

A relaxed structure of Nb5N2O2 (GGA-PBE, the Materials Project database).

Cell lengths 5.4427, 5.4427, 6.8704 Å; angles 128.85, 128.85, 47.42 degrees
Fractional coordinates of all 9 atoms:
1 Nb 0.0000 0.0000 0.0000
2 Nb 0.1891 0.1891 0.7975
3 Nb 0.3713 0.3713 0.6283
4 Nb 0.5499 0.5499 0.3172
5 Nb 0.7729 0.7729 0.1562
6 N 0.0749 0.0749 0.3864
7 N 0.2858 0.2858 0.2161
8 O 0.6353 0.6353 0.7283
9 O 0.8676 0.8676 0.5640

Output
As for the space-group type: Cm, No. 8. For the total moment, the calculation gives 0.0 μB per cell. As for the total energy: -9.72 eV/atom.

14.
# Nb4NO3

A relaxed structure of Nb4NO3 (GGA-PBE, the Materials Project database).

Cell lengths 4.7740, 4.9731, 5.1658 Å; angles 76.67, 88.55, 89.46 degrees
Fractional coordinates of all 8 atoms:
1 Nb 0.0000 0.0000 0.0000
2 Nb 0.0489 0.4098 0.3991
3 Nb 0.5288 0.9503 0.4194
4 Nb 0.6310 0.4882 0.0533
5 N 0.3034 0.7281 0.2142
6 O 0.2389 0.0684 0.6523
7 O 0.7319 0.8564 0.7692
8 O 0.8492 0.3694 0.7611

Output
As for the space-group type: P1, No. 1. For the total moment, the calculation gives 0.0 μB per cell. As for the total energy: -9.27 eV/atom.

15.
# Nb10N11O

A relaxed structure of Nb10N11O (GGA-PBE, the Materials Project database).

Cell lengths 5.2572, 10.5506, 10.5110 Å; angles 90.00, 119.75, 90.00 degrees
Fractional coordinates of all 44 atoms:
1 Nb 0.0000 0.0003 0.0000
2 Nb 0.0000 0.9997 0.5000
3 Nb 0.0083 0.2441 0.6831
4 Nb 0.0083 0.7559 0.1831
5 Nb 0.0128 0.2502 0.1723
6 Nb 0.0128 0.7498 0.6723
7 Nb 0.3429 0.2547 0.0053
8 Nb 0.3429 0.7453 0.5053
9 Nb 0.3500 0.0013 0.8371
10 Nb 0.3504 0.4992 0.1756
11 Nb 0.3504 0.5008 0.6756
12 Nb 0.3500 0.9987 0.3371
13 Nb 0.3659 0.2402 0.5073
14 Nb 0.3659 0.7598 0.0073
15 Nb 0.6671 0.4984 0.9989
16 Nb 0.6671 0.5016 0.4989
17 Nb 0.6733 0.0025 0.1750
18 Nb 0.6733 0.9975 0.6750
19 Nb 0.9973 0.4983 0.8344
20 Nb 0.9973 0.5017 0.3344
21 N 0.0114 0.1258 0.8392
22 N 0.0114 0.3768 0.0067
23 N 0.0114 0.6232 0.5067
24 N 0.0114 0.8742 0.3392
25 N 0.0165 0.1278 0.3376
26 N 0.0165 0.8722 0.8376
27 N 0.3317 0.1268 0.1666
28 N 0.3317 0.8732 0.6666
29 N 0.3330 0.3743 0.8349
30 N 0.3330 0.6257 0.3349
31 N 0.3345 0.1276 0.6675
32 N 0.3345 0.8724 0.1675
33 N 0.3367 0.3721 0.3390
34 N 0.3367 0.6279 0.8390
35 N 0.6724 0.3726 0.6675
36 N 0.6724 0.6274 0.1675
37 N 0.6733 0.3741 0.1687
38 N 0.6733 0.6259 0.6687
39 N 0.6744 0.1295 0.0075
40 N 0.6744 0.8705 0.5075
41 N 0.6784 0.1242 0.5064
42 N 0.6784 0.8758 0.0064
43 O 0.0149 0.3706 0.5076
44 O 0.0149 0.6294 0.0076

Output
As for the space-group type: Pc, No. 7. For the total moment, the calculation gives 0.0 μB per cell. As for the total energy: -10.07 eV/atom.

16.
# NbS2NO9

A relaxed structure of NbS2NO9 (GGA-PBE, the Materials Project database).

Cell lengths 17.7721, 5.2796, 9.1087 Å; angles 90.00, 90.00, 90.00 degrees
Fractional coordinates of all 52 atoms:
1 Nb 0.1957 0.2500 0.0835
2 Nb 0.3043 0.7500 0.5835
3 Nb 0.6957 0.2500 0.4165
4 Nb 0.8043 0.7500 0.9165
5 S 0.0708 0.7500 0.1313
6 S 0.1935 0.2500 0.4834
7 S 0.3065 0.7500 0.9834
8 S 0.4292 0.2500 0.6313
9 S 0.5708 0.7500 0.3687
10 S 0.6935 0.2500 0.0166
11 S 0.8065 0.7500 0.5166
12 S 0.9292 0.2500 0.8687
13 N 0.0471 0.7500 0.6405
14 N 0.4529 0.2500 0.1405
15 N 0.5471 0.7500 0.8595
16 N 0.9529 0.2500 0.3595
17 O 0.0077 0.7500 0.2349
18 O 0.0419 0.7500 0.9807
19 O 0.1129 0.2500 0.4878
20 O 0.1205 0.5245 0.1606
21 O 0.1205 0.9755 0.1606
22 O 0.1656 0.2500 0.9037
23 O 0.2245 0.0242 0.5700
24 O 0.2245 0.4758 0.5700
25 O 0.2282 0.2500 0.3367
26 O 0.2718 0.7500 0.8367
27 O 0.2755 0.5242 0.0700
28 O 0.2755 0.9758 0.0700
29 O 0.3344 0.7500 0.4037
30 O 0.3795 0.0245 0.6606
31 O 0.3795 0.4755 0.6606
32 O 0.3871 0.7500 0.9878
33 O 0.4581 0.2500 0.4807
34 O 0.4923 0.2500 0.7349
35 O 0.5077 0.7500 0.2651
36 O 0.5419 0.7500 0.5193
37 O 0.6129 0.2500 0.0122
38 O 0.6205 0.5245 0.3394
39 O 0.6205 0.9755 0.3394
40 O 0.6656 0.2500 0.5963
41 O 0.7245 0.0242 0.9300
42 O 0.7245 0.4758 0.9300
43 O 0.7282 0.2500 0.1633
44 O 0.7718 0.7500 0.6633
45 O 0.7755 0.5242 0.4300
46 O 0.7755 0.9758 0.4300
47 O 0.8344 0.7500 0.0963
48 O 0.8795 0.0245 0.8394
49 O 0.8795 0.4755 0.8394
50 O 0.8871 0.7500 0.5122
51 O 0.9581 0.2500 0.0193
52 O 0.9923 0.2500 0.7651

Output
As for the space-group type: Pnma, No. 62. For the total moment, the calculation gives 14.3 μB per cell. As for the total energy: -6.42 eV/atom.

17.
# Sr2NbN2O2

A relaxed structure of Sr2NbN2O2 (GGA-PBE, the Materials Project database).

Cell lengths 7.1098, 7.1098, 7.1098 Å; angles 146.79, 146.79, 47.67 degrees
Fractional coordinates of all 7 atoms:
1 Sr 0.1483 0.1483 0.0000
2 Sr 0.8517 0.8517 0.0000
3 Nb 0.5000 0.5000 0.0000
4 N 0.0000 0.5000 0.5000
5 N 0.5000 0.0000 0.5000
6 O 0.3376 0.3376 0.0000
7 O 0.6624 0.6624 0.0000

Output
As for the space-group type: I4/mmm, No. 139. For the total moment, the calculation gives 0.3 μB per cell. As for the total energy: -7.42 eV/atom.

18.
# YNb2NO5

A relaxed structure of YNb2NO5 (GGA-PBE, the Materials Project database).

Cell lengths 5.2881, 5.9352, 15.0087 Å; angles 89.71, 89.77, 89.76 degrees
Fractional coordinates of all 36 atoms:
1 Y 0.0000 0.0000 0.0000
2 Y 0.0013 0.4935 0.4968
3 Y 0.4909 0.4055 0.0036
4 Y 0.4943 0.9036 0.5011
5 Nb 0.0066 0.5251 0.8327
6 Nb 0.0236 0.0069 0.6640
7 Nb 0.4691 0.3856 0.3298
8 Nb 0.4742 0.8801 0.1703
9 Nb 0.5087 0.3784 0.6677
10 Nb 0.5226 0.8960 0.8368
11 Nb 0.9555 0.5265 0.1691
12 Nb 0.9872 0.0252 0.3386
13 N 0.1380 0.8042 0.5832
14 N 0.2720 0.1200 0.4014
15 N 0.6378 0.0956 0.9180
16 N 0.6384 0.5778 0.2397
17 O 0.1375 0.3232 0.9175
18 O 0.1420 0.8340 0.2426
19 O 0.1427 0.3378 0.2537
20 O 0.2009 0.7894 0.8975
21 O 0.2068 0.2855 0.5994
22 O 0.2635 0.6305 0.0961
23 O 0.3242 0.5596 0.7537
24 O 0.3435 0.0760 0.7421
25 O 0.3439 0.0934 0.0854
26 O 0.3467 0.5937 0.4147
27 O 0.6350 0.0779 0.2530
28 O 0.6390 0.5775 0.5818
29 O 0.7038 0.6158 0.9019
30 O 0.7058 0.1148 0.6015
31 O 0.7725 0.7937 0.0955
32 O 0.7739 0.2879 0.3979
33 O 0.8246 0.3440 0.7466
34 O 0.8419 0.8097 0.4168
35 O 0.8422 0.8269 0.7581
36 O 0.8466 0.3176 0.0832

Output
The value obtained for the offset from the most stable computed form is 19.8 meV per atom. As for the space-group type: P1, No. 1. For the total moment, the calculation gives 0.0 μB per cell. As for the total energy: -9.16 eV/atom.